A plane-wave DFT calculation with PBE was carried out for a geometry-optimized NaCaGaS3O12 structure.

Computed properties:
magnetization = 0.0 μB/cell
energy of formation = -2.1887 eV/atom
VASP energy = -6.072 eV/atom

Unit cell a=8.8688 b=8.8688 c=22.8601 alpha=90.00 beta=90.00 gamma=120.00
With the nearest neighbours (Å) after each atom.
Atoms (fractional coordinates):
Na 0.0000 0.0000 0.5019  6 O 2.47-2.75
Na 0.0000 0.0000 0.0019  6 O 2.47-2.75
Na 0.6667 0.3333 0.8352  6 O 2.47-2.75
Na 0.6667 0.3333 0.3352  6 O 2.47-2.75
Na 0.3333 0.6667 0.1686  6 O 2.47-2.75
Na 0.3333 0.6667 0.6686  6 O 2.47-2.75
Ca 0.0000 0.0000 0.3543  6 O 2.18-2.24
Ca 0.0000 0.0000 0.8543  6 O 2.18-2.24
Ca 0.6667 0.3333 0.6877  6 O 2.18-2.24
Ca 0.6667 0.3333 0.1877  6 O 2.18-2.24
Ca 0.3333 0.6667 0.0210  6 O 2.18-2.24
Ca 0.3333 0.6667 0.5210  6 O 2.18-2.24
Ga 0.0000 0.0000 0.6509  6 O 2.07-2.08
Ga 0.0000 0.0000 0.1509  6 O 2.07-2.08
Ga 0.6667 0.3333 0.9843  6 O 2.07-2.08
Ga 0.6667 0.3333 0.4843  6 O 2.07-2.08
Ga 0.3333 0.6667 0.3176  6 O 2.07-2.08
Ga 0.3333 0.6667 0.8176  6 O 2.07-2.08
S 0.2850 0.9783 0.2501  4 O 1.44-1.52
S 0.6933 0.7150 0.2501  4 O 1.44-1.52
S 0.0217 0.3067 0.2501  4 O 1.44-1.52
S 0.2850 0.3067 0.7501  4 O 1.44-1.52
S 0.0217 0.7150 0.7501  4 O 1.44-1.52
S 0.6933 0.9783 0.7501  4 O 1.44-1.52
S 0.9517 0.3116 0.5835  4 O 1.44-1.52
S 0.3599 0.0483 0.5835  4 O 1.44-1.52
S 0.6884 0.6401 0.5835  4 O 1.44-1.52
S 0.9517 0.6401 0.0835  4 O 1.44-1.52
S 0.6884 0.0483 0.0835  4 O 1.44-1.52
S 0.3599 0.3116 0.0835  4 O 1.44-1.52
S 0.6184 0.6450 0.9168  4 O 1.44-1.52
S 0.0266 0.3816 0.9168  4 O 1.44-1.52
S 0.3550 0.9734 0.9168  4 O 1.44-1.52
S 0.6184 0.9734 0.4168  4 O 1.44-1.52
S 0.3550 0.3816 0.4168  4 O 1.44-1.52
S 0.0266 0.6450 0.4168  4 O 1.44-1.52
O 0.2061 0.0010 0.3021  1 S 1.44
O 0.7949 0.7939 0.3021  1 S 1.44
O 0.9990 0.2051 0.3021  1 S 1.44
O 0.2061 0.2051 0.8021  1 S 1.44
O 0.9990 0.7939 0.8021  1 S 1.44
O 0.7949 0.0010 0.8021  1 S 1.44
O 0.7788 0.9572 0.6957  1 S 1.52
O 0.1784 0.2212 0.6957  1 S 1.52
O 0.0428 0.8216 0.6957  1 S 1.52
O 0.7788 0.8216 0.1957  1 S 1.52
O 0.0428 0.2212 0.1957  1 S 1.52
O 0.1784 0.9572 0.1957  1 S 1.52
O 0.8728 0.3343 0.6355  1 S 1.44
O 0.4615 0.1272 0.6355  1 S 1.44
O 0.6657 0.5385 0.6355  1 S 1.44
O 0.8728 0.5385 0.1355  1 S 1.44
O 0.6657 0.1272 0.1355  1 S 1.44
O 0.4615 0.3343 0.1355  1 S 1.44
O 0.4455 0.2905 0.0290  1 S 1.52
O 0.8451 0.5545 0.0290  1 S 1.52
O 0.7095 0.1549 0.0290  1 S 1.52
O 0.4455 0.1549 0.5290  1 S 1.52
O 0.7095 0.5545 0.5290  1 S 1.52
O 0.8451 0.2905 0.5290  1 S 1.52
O 0.5395 0.6676 0.9688  1 S 1.44
O 0.1282 0.4605 0.9688  1 S 1.44
O 0.3324 0.8718 0.9688  1 S 1.44
O 0.5395 0.8718 0.4688  1 S 1.44
O 0.3324 0.4605 0.4688  1 S 1.44
O 0.1282 0.6676 0.4688  1 S 1.44
O 0.1121 0.6239 0.3623  1 S 1.52
O 0.5117 0.8879 0.3623  1 S 1.52
O 0.3761 0.4883 0.3623  1 S 1.52
O 0.1121 0.4883 0.8623  1 S 1.52
O 0.3761 0.8879 0.8623  1 S 1.52
O 0.5117 0.6239 0.8623  1 S 1.52
O 0.9969 0.7934 0.4118  1 S 1.47
O 0.7965 0.0031 0.4118  1 S 1.47
O 0.2066 0.2035 0.4118  1 S 1.47
O 0.9969 0.2035 0.9118  1 S 1.47
O 0.2066 0.0031 0.9118  1 S 1.47
O 0.7965 0.7934 0.9118  1 S 1.47
O 0.9610 0.1459 0.5878  1 S 1.52
O 0.1849 0.0390 0.5878  1 S 1.52
O 0.8541 0.8151 0.5878  1 S 1.52
O 0.9610 0.8151 0.0878  1 S 1.52
O 0.8541 0.0390 0.0878  1 S 1.52
O 0.1849 0.1459 0.0878  1 S 1.52
O 0.6636 0.1268 0.7452  1 S 1.47
O 0.4631 0.3364 0.7452  1 S 1.47
O 0.8732 0.5369 0.7452  1 S 1.47
O 0.6636 0.5369 0.2452  1 S 1.47
O 0.8732 0.3364 0.2452  1 S 1.47
O 0.4631 0.1268 0.2452  1 S 1.47
O 0.6277 0.4792 0.9212  1 S 1.52
O 0.8516 0.3723 0.9212  1 S 1.52
O 0.5208 0.1484 0.9212  1 S 1.52
O 0.6277 0.1484 0.4212  1 S 1.52
O 0.5208 0.3723 0.4212  1 S 1.52
O 0.8516 0.4792 0.4212  1 S 1.52
O 0.3303 0.4601 0.0785  1 S 1.47
O 0.1298 0.6697 0.0785  1 S 1.47
O 0.5399 0.8702 0.0785  1 S 1.47
O 0.3303 0.8702 0.5785  1 S 1.47
O 0.5399 0.6697 0.5785  1 S 1.47
O 0.1298 0.4601 0.5785  1 S 1.47
O 0.2944 0.8126 0.2545  1 S 1.52
O 0.5182 0.7056 0.2545  1 S 1.52
O 0.1874 0.4818 0.2545  1 S 1.52
O 0.2944 0.4818 0.7545  1 S 1.52
O 0.1874 0.7056 0.7545  1 S 1.52
O 0.5182 0.8126 0.7545  1 S 1.52


A plane-wave DFT calculation with PBE was carried out for a geometry-optimized KS2NO4F2 structure.

Computed properties:
magnetization = 0.0 μB/cell
energy of formation = -1.7322 eV/atom
VASP energy = -5.499 eV/atom
space-group type = Pbca, No. 61

Unit cell a=12.1777 b=14.2677 c=14.6193 alpha=90.00 beta=90.00 gamma=90.00
With the nearest neighbours (Å) after each atom.
Atoms (fractional coordinates):
K 0.0043 0.3402 0.5529  6 O 2.71-2.93
K 0.1281 0.8913 0.2204  5 O 2.69-2.96, 1 F 2.82, 1 N 3.00
K 0.6281 0.1087 0.2796  5 O 2.69-2.96, 1 F 2.82, 1 N 3.00
K 0.8719 0.6087 0.7204  5 O 2.69-2.96, 1 F 2.82, 1 N 3.00
K 0.4957 0.3402 0.0529  6 O 2.71-2.93
K 0.0043 0.8402 0.9471  6 O 2.71-2.93
K 0.6281 0.6087 0.2204  5 O 2.69-2.96, 1 F 2.82, 1 N 3.00
K 0.1281 0.3913 0.2796  5 O 2.69-2.96, 1 F 2.82, 1 N 3.00
K 0.5043 0.1598 0.5529  6 O 2.71-2.93
K 0.4957 0.8402 0.4471  6 O 2.71-2.93
K 0.5043 0.6598 0.9471  6 O 2.71-2.93
K 0.3719 0.8913 0.7204  5 O 2.69-2.96, 1 F 2.82, 1 N 3.00
K 0.9957 0.6598 0.4471  6 O 2.71-2.93
K 0.3719 0.3913 0.7796  5 O 2.69-2.96, 1 F 2.82, 1 N 3.00
K 0.9957 0.1598 0.0529  6 O 2.71-2.93
K 0.8719 0.1087 0.7796  5 O 2.69-2.96, 1 F 2.82, 1 N 3.00
S 0.2988 0.6384 0.3268  2 O 1.43-1.44, 1 N 1.60
S 0.7988 0.3616 0.1732  2 O 1.43-1.44, 1 N 1.60
S 0.3505 0.0517 0.3405  2 O 1.43-1.45, 1 N 1.59
S 0.8505 0.4483 0.3405  2 O 1.43-1.45, 1 N 1.59
S 0.6816 0.6252 0.5299  2 O 1.44, 1 N 1.59, 1 F 1.60
S 0.3184 0.3748 0.4701  2 O 1.44, 1 N 1.59, 1 F 1.60
S 0.3184 0.8748 0.0299  2 O 1.44, 1 N 1.59, 1 F 1.60
S 0.0252 0.3335 0.8352  2 O 1.43-1.44, 1 N 1.58
S 0.7988 0.8616 0.3268  2 O 1.43-1.44, 1 N 1.60
S 0.1816 0.8748 0.5299  2 O 1.44, 1 N 1.59, 1 F 1.60
S 0.6495 0.4483 0.8405  2 O 1.43-1.45, 1 N 1.59
S 0.2012 0.1384 0.6732  2 O 1.43-1.44, 1 N 1.60
S 0.9748 0.1665 0.3352  2 O 1.43-1.44, 1 N 1.58
S 0.1816 0.3748 0.9701  2 O 1.44, 1 N 1.59, 1 F 1.60
S 0.1495 0.5517 0.6595  2 O 1.43-1.45, 1 N 1.59
S 0.8505 0.9483 0.1595  2 O 1.43-1.45, 1 N 1.59
S 0.4748 0.8335 0.1648  2 O 1.43-1.44, 1 N 1.58
S 0.1495 0.0517 0.8405  2 O 1.43-1.45, 1 N 1.59
S 0.6495 0.9483 0.6595  2 O 1.43-1.45, 1 N 1.59
S 0.7012 0.8616 0.8268  2 O 1.43-1.44, 1 N 1.60
S 0.2012 0.6384 0.8268  2 O 1.43-1.44, 1 N 1.60
S 0.8184 0.6252 0.0299  2 O 1.44, 1 N 1.59, 1 F 1.60
S 0.2988 0.1384 0.1732  2 O 1.43-1.44, 1 N 1.60
S 0.5252 0.6665 0.6648  2 O 1.43-1.44, 1 N 1.58
S 0.6816 0.1252 0.9701  2 O 1.44, 1 N 1.59, 1 F 1.60
S 0.0252 0.8335 0.6648  2 O 1.43-1.44, 1 N 1.58
S 0.4748 0.3335 0.3352  2 O 1.43-1.44, 1 N 1.58
S 0.3505 0.5517 0.1595  2 O 1.43-1.45, 1 N 1.59
S 0.9748 0.6665 0.1648  2 O 1.43-1.44, 1 N 1.58
S 0.5252 0.1665 0.8352  2 O 1.43-1.44, 1 N 1.58
S 0.7012 0.3616 0.6732  2 O 1.43-1.44, 1 N 1.60
S 0.8184 0.1252 0.4701  2 O 1.44, 1 N 1.59, 1 F 1.60
N 0.6160 0.8943 0.7501  2 S 1.59-1.60
N 0.6455 0.6392 0.6335  2 S 1.58-1.59
N 0.8545 0.1392 0.3665  2 S 1.58-1.59
N 0.6160 0.3943 0.7499  2 S 1.59-1.60
N 0.1160 0.1057 0.7499  2 S 1.59-1.60
N 0.3840 0.6057 0.2501  2 S 1.59-1.60
N 0.8840 0.8943 0.2501  2 S 1.59-1.60
N 0.8840 0.3943 0.2499  2 S 1.59-1.60
N 0.3840 0.1057 0.2499  2 S 1.59-1.60
N 0.6455 0.1392 0.8665  2 S 1.58-1.59
N 0.1455 0.8608 0.6335  2 S 1.58-1.59
N 0.1455 0.3608 0.8665  2 S 1.58-1.59
N 0.3545 0.8608 0.1335  2 S 1.58-1.59
N 0.8545 0.6392 0.1335  2 S 1.58-1.59
N 0.1160 0.6057 0.7501  2 S 1.59-1.60
N 0.3545 0.3608 0.3665  2 S 1.58-1.59
O 0.7276 0.0230 0.6679  1 S 1.43
O 0.5495 0.9667 0.6091  1 S 1.45
O 0.2991 0.8864 0.5298  1 S 1.44
O 0.0228 0.3271 0.7375  1 S 1.43
O 0.8674 0.1860 0.5371  1 S 1.44
O 0.7916 0.4242 0.6555  1 S 1.44
O 0.2724 0.9770 0.3321  1 S 1.43
O 0.2991 0.3864 0.9702  1 S 1.44
O 0.6326 0.6860 0.4629  1 S 1.44
O 0.2916 0.5758 0.8445  1 S 1.44
O 0.7991 0.6136 0.5298  1 S 1.44
O 0.2009 0.8864 0.0298  1 S 1.44
O 0.4505 0.5333 0.1091  1 S 1.45
O 0.5228 0.6729 0.7625  1 S 1.43
O 0.7916 0.9242 0.8445  1 S 1.44
O 0.5279 0.2602 0.3866  1 S 1.44
O 0.7991 0.1136 0.9702  1 S 1.44
O 0.1416 0.6782 0.9013  1 S 1.43
O 0.3584 0.1782 0.0987  1 S 1.43
O 0.1326 0.8140 0.4629  1 S 1.44
O 0.6416 0.3218 0.5987  1 S 1.43
O 0.0228 0.8271 0.7625  1 S 1.43
O 0.2276 0.9770 0.8321  1 S 1.43
O 0.5495 0.4667 0.8909  1 S 1.45
O 0.0495 0.0333 0.8909  1 S 1.45
O 0.7724 0.0230 0.1679  1 S 1.43
O 0.2724 0.4770 0.1679  1 S 1.43
O 0.7084 0.9242 0.3445  1 S 1.44
O 0.3584 0.6782 0.4013  1 S 1.43
O 0.4772 0.8271 0.2625  1 S 1.43
O 0.7084 0.4242 0.1555  1 S 1.44
O 0.9505 0.9667 0.1091  1 S 1.45
O 0.1416 0.1782 0.5987  1 S 1.43
O 0.3674 0.8140 0.9629  1 S 1.44
O 0.9721 0.7602 0.6134  1 S 1.44
O 0.9772 0.6729 0.2625  1 S 1.43
O 0.6416 0.8218 0.9013  1 S 1.43
O 0.9772 0.1729 0.2375  1 S 1.43
O 0.7724 0.5230 0.3321  1 S 1.43
O 0.0279 0.2398 0.3866  1 S 1.44
O 0.8584 0.3218 0.0987  1 S 1.43
O 0.0279 0.7398 0.1134  1 S 1.44
O 0.5228 0.1729 0.7375  1 S 1.43
O 0.8584 0.8218 0.4013  1 S 1.43
O 0.4772 0.3271 0.2375  1 S 1.43
O 0.8674 0.6860 0.9629  1 S 1.44
O 0.4505 0.0333 0.3909  1 S 1.45
O 0.3674 0.3140 0.5371  1 S 1.44
O 0.9721 0.2602 0.8866  1 S 1.44
O 0.2009 0.3864 0.4702  1 S 1.44
O 0.6326 0.1860 0.0371  1 S 1.44
O 0.4721 0.2398 0.8866  1 S 1.44
O 0.7276 0.5230 0.8321  1 S 1.43
O 0.4721 0.7398 0.6134  1 S 1.44
O 0.7009 0.1136 0.4702  1 S 1.44
O 0.7009 0.6136 0.0298  1 S 1.44
O 0.2084 0.5758 0.3445  1 S 1.44
O 0.2276 0.4770 0.6679  1 S 1.43
O 0.0495 0.5333 0.6091  1 S 1.45
O 0.9505 0.4667 0.3909  1 S 1.45
O 0.1326 0.3140 0.0371  1 S 1.44
O 0.2084 0.0758 0.1555  1 S 1.44
O 0.5279 0.7602 0.1134  1 S 1.44
O 0.2916 0.0758 0.6555  1 S 1.44
F 0.7390 0.2720 0.2225  1 S 1.64
F 0.7610 0.2720 0.7225  1 S 1.64
F 0.3663 0.4766 0.4937  1 S 1.60
F 0.4544 0.0735 0.8580  1 S 1.62
F 0.8663 0.5234 0.0063  1 S 1.60
F 0.0456 0.5735 0.1420  1 S 1.62
F 0.9544 0.4265 0.8580  1 S 1.62
F 0.9544 0.9265 0.6420  1 S 1.62
F 0.3663 0.9766 0.0063  1 S 1.60
F 0.6337 0.5234 0.5063  1 S 1.60
F 0.2390 0.2280 0.2225  1 S 1.64
F 0.2892 0.1304 0.4014  1 S 1.62
F 0.2610 0.2280 0.7225  1 S 1.64
F 0.7610 0.7720 0.7775  1 S 1.64
F 0.5456 0.9265 0.1420  1 S 1.62
F 0.4544 0.5735 0.6420  1 S 1.62
F 0.7390 0.7720 0.2775  1 S 1.64
F 0.7892 0.3696 0.4014  1 S 1.62
F 0.7108 0.8696 0.5986  1 S 1.62
F 0.2108 0.6304 0.5986  1 S 1.62
F 0.8663 0.0234 0.4937  1 S 1.60
F 0.2390 0.7280 0.2775  1 S 1.64
F 0.7108 0.3696 0.9014  1 S 1.62
F 0.0456 0.0735 0.3580  1 S 1.62
F 0.2892 0.6304 0.0986  1 S 1.62
F 0.2610 0.7280 0.7775  1 S 1.64
F 0.1337 0.4766 0.9937  1 S 1.60
F 0.2108 0.1304 0.9014  1 S 1.62
F 0.7892 0.8696 0.0986  1 S 1.62
F 0.5456 0.4265 0.3580  1 S 1.62
F 0.1337 0.9766 0.5063  1 S 1.60
F 0.6337 0.0234 0.9937  1 S 1.60


A plane-wave DFT calculation with PBE was carried out for a geometry-optimized K3Eu structure.

Computed properties:
magnetization = 7.5 μB/cell
energy of formation = 0.1914 eV/atom
VASP energy = -3.206 eV/atom
space-group type = Fm-3m, No. 225

Unit cell a=7.2011 b=7.2011 c=7.2011 alpha=60.00 beta=60.00 gamma=60.00
With the nearest neighbours (Å) after each atom.
Atoms (fractional coordinates):
K 0.2500 0.2500 0.2500  4 K 4.41, 4 Eu 4.41
K 0.7500 0.7500 0.7500  4 K 4.41, 4 Eu 4.41
K 0.5000 0.5000 0.5000  8 K 4.41
Eu 0.0000 0.0000 0.0000  8 K 4.41


A plane-wave DFT calculation with PBE was carried out for a geometry-optimized PrCo2Ge2 structure.

Computed properties:
energy of formation = -0.5821 eV/atom
VASP energy = -6.231 eV/atom
space-group type = I4/mmm, No. 139

Unit cell a=5.9252 b=5.9252 c=5.9252 alpha=140.17 beta=140.17 gamma=57.59
With the nearest neighbours (Å) after each atom.
Atoms (fractional coordinates):
Pr 0.0000 0.0000 0.0000  8 Ge 3.17, 8 Co 3.29
Co 0.2500 0.7500 0.5000  4 Ge 2.36
Co 0.7500 0.2500 0.5000  4 Ge 2.36
Ge 0.3669 0.3669 0.0000  4 Co 2.36
Ge 0.6331 0.6331 0.0000  4 Co 2.36


A plane-wave DFT calculation with PBE was carried out for a geometry-optimized MgScSe3 structure.

Computed properties:
magnetization = 0.0 μB/cell
energy of formation = -1.3441 eV/atom
VASP energy = -4.745 eV/atom
space-group type = C2/m, No. 12

Unit cell a=7.2644 b=7.2644 c=6.7921 alpha=76.31 beta=76.31 gamma=121.85
With the nearest neighbours (Å) after each atom.
Atoms (fractional coordinates):
Mg 0.3353 0.6647 0.0000  6 Se 2.67-2.87
Mg 0.6647 0.3353 0.0000  6 Se 2.67-2.87
Sc 0.8030 0.8030 0.3210  4 Se 2.56-2.58
Sc 0.1970 0.1970 0.6790  4 Se 2.56-2.58
Se 0.2035 0.8673 0.2258  1 Sc 2.58, 2 Mg 2.70-2.87
Se 0.7965 0.1327 0.7742  1 Sc 2.58, 2 Mg 2.70-2.87
Se 0.1327 0.7965 0.7742  1 Sc 2.58, 2 Mg 2.70-2.87
Se 0.8673 0.2035 0.2258  1 Sc 2.58, 2 Mg 2.70-2.87
Se 0.5277 0.5277 0.7428  2 Sc 2.56-2.57, 2 Mg 2.67
Se 0.4723 0.4723 0.2572  2 Sc 2.56-2.57, 2 Mg 2.67


A plane-wave DFT calculation with PBE was carried out for a geometry-optimized KPrEuSbO6 structure.

Computed properties:
magnetization = 6.0 μB/cell
energy of formation = -2.5724 eV/atom
VASP energy = -7.157 eV/atom
space-group type = F-43m, No. 216

Unit cell a=6.1092 b=6.1092 c=6.1092 alpha=60.00 beta=60.00 gamma=60.00
With the nearest neighbours (Å) after each atom.
Atoms (fractional coordinates):
K 0.7500 0.7500 0.7500  12 O 3.06
Pr 0.0000 0.0000 0.0000  6 O 2.32
Eu 0.2500 0.2500 0.2500  12 O 3.06
Sb 0.5000 0.5000 0.5000  6 O 2.00
O 0.7309 0.2691 0.2691  1 Sb 2.00
O 0.2691 0.7309 0.7309  1 Sb 2.00
O 0.7309 0.2691 0.7309  1 Sb 2.00
O 0.2691 0.7309 0.2691  1 Sb 2.00
O 0.7309 0.7309 0.2691  1 Sb 2.00
O 0.2691 0.2691 0.7309  1 Sb 2.00